Na6Be8O11 after structural relaxation, computed with meta-GGA r2SCAN.

a = 5.2108 Å, b = 6.3829 Å, c = 8.2379 Å
α = 102.56°, β = 94.46°, γ = 104.60°
Space group P-1 (No. 2)
Unique sites:
Na1 0.0349 0.2569 0.0703
Na2 0.2024 0.7715 0.2924
Na3 0.2214 0.3873 0.5013
Be1 0.1724 0.9766 0.6490
Be2 0.4471 0.4303 0.8633
Be3 0.4741 0.7409 0.7511
Be4 0.4801 0.1383 0.9499
O1 0.0000 0.0000 0.5000
O2 0.2324 0.7508 0.6359
O3 0.2639 0.1701 0.8100
O4 0.3279 0.6070 0.9895
O5 0.3593 0.0455 0.1107
O6 0.4211 0.4702 0.2803

ΔE_f in eV/atom: -2.456
ρ in g cm⁻³: 2.5
Spin magnetization in μB per formula unit: 0.00